The following is a PBE calculation of a relaxed structure of Ba2InAgS4, from Materials Project.

Its formation enthalpy at 0 K is -1.52 eV/atom. The calculation puts the total magnetization at 0.004 μB per cell. The electronic total energy comes out at -4.516 eV per atom. The calculation puts the energy with MP2020 corrections at -4.768 eV/atom.

Lattice parameters (Å, degrees): 8.473 7.391 14.822 90.00 106.74 90.00
Space group P2_1/c (No. 14)
Unique sites:
Ba  0.055  0.156  0.358 (multiplicity 4)
Ba  0.445  0.658  0.136 (multiplicity 4)
In  0.187  0.181  0.123 (multiplicity 4)
Ag  0.322  0.634  0.399 (multiplicity 4)
S  0.102  0.743  0.969 (multiplicity 4)
S  0.244  0.575  0.733 (multiplicity 4)
S  0.256  0.076  0.754 (multiplicity 4)
S  0.383  0.249  0.529 (multiplicity 4)

***

The following is a PBE calculation of a relaxed structure of LiTiP4O12, from Materials Project.

Its formation enthalpy at 0 K is -2.67 eV/atom. The calculation puts the total magnetization at 3.998 μB per cell. The electronic total energy comes out at -7.263 eV per atom. The calculation puts the energy with MP2020 corrections at -7.721 eV/atom.

Lattice parameters (Å, degrees): 10.066 9.149 12.093 90.00 125.15 90.00
Space group P2_1/c (No. 14)
Unique sites:
Li  0.155  0.051  0.010 (multiplicity 4)
Ti  0.185  0.697  0.188 (multiplicity 4)
P  0.097  0.103  0.257 (multiplicity 4)
P  0.183  0.166  0.641 (multiplicity 4)
P  0.296  0.616  0.974 (multiplicity 4)
P  0.484  0.003  0.740 (multiplicity 4)
O  0.038  0.687  0.252 (multiplicity 4)
O  0.051  0.514  0.654 (multiplicity 4)
O  0.085  0.245  0.509 (multiplicity 4)
O  0.121  0.021  0.654 (multiplicity 4)
O  0.202  0.683  0.024 (multiplicity 4)
O  0.216  0.224  0.258 (multiplicity 4)
O  0.217  0.041  0.406 (multiplicity 4)
O  0.326  0.701  0.885 (multiplicity 4)
O  0.344  0.548  0.661 (multiplicity 4)
O  0.367  0.147  0.685 (multiplicity 4)
O  0.413  0.609  0.284 (multiplicity 4)
O  0.466  0.557  0.106 (multiplicity 4)